[1]
Entry from the Materials Project database: RbMg6BO7 after structural relaxation (PBE-GGA).

Cell lengths 7.857, 4.813, 4.813 Å; angles 90.00, 90.00, 90.00 degrees
Sites, in units of the cell vectors:
1 O 0.501 0.000 0.500
2 O 0.999 0.500 0.000
3 O 0.677 0.000 0.000
4 O 0.249 0.500 0.500
5 O 0.999 0.000 0.500
6 O 0.751 0.500 0.500
7 O 0.501 0.500 0.000
8 Mg 0.998 0.500 0.500
9 Mg 0.745 0.000 0.500
10 Mg 0.745 0.500 0.000
11 Mg 0.262 0.500 0.000
12 Mg 0.502 0.500 0.500
13 Mg 0.262 0.000 0.500
14 B 0.504 0.000 0.000
15 Rb 0.054 0.000 0.000

Values from the calculation:
**E**: -79.1 eV/f.u.
**Energy of formation**: -2131.7 meV per atom
**Symmetry**: No. 99


[2]
Entry from the Materials Project database: RbMg14BO15 after structural relaxation (PBE-GGA).

Cell lengths 4.524, 8.269, 8.923 Å; angles 90.00, 90.00, 90.00 degrees
Sites, in units of the cell vectors:
1 O 0.000 0.500 0.719
2 O 0.500 0.000 0.493
3 O 0.500 0.500 0.484
4 O 0.500 0.750 0.757
5 O 0.500 0.250 0.757
6 O 0.500 0.747 0.251
7 O 0.500 0.000 0.029
8 O 0.000 0.256 0.489
9 O 0.000 0.500 0.235
10 O 0.500 0.253 0.251
11 O 0.000 0.666 0.016
12 O 0.000 0.744 0.489
13 O 0.000 0.000 0.269
14 O 0.500 0.500 0.013
15 O 0.000 0.334 0.016
16 Mg 0.000 0.000 0.496
17 Mg 0.500 0.260 0.009
18 Mg 0.500 0.000 0.252
19 Mg 0.500 0.500 0.247
20 Mg 0.500 0.000 0.724
21 Mg 0.000 0.265 0.728
22 Mg 0.500 0.500 0.771
23 Mg 0.000 0.500 0.495
24 Mg 0.000 0.243 0.255
25 Mg 0.000 0.735 0.728
26 Mg 0.500 0.740 0.009
27 Mg 0.500 0.746 0.489
28 Mg 0.500 0.254 0.489
29 Mg 0.000 0.757 0.255
30 Rb 0.000 0.000 0.964
31 B 0.000 0.500 0.068

Values from the calculation:
**E**: -175.4 eV/f.u.
**Energy of formation**: -2626.5 meV per atom
**Symmetry**: No. 25


[3]
Entry from the Materials Project database: RbMg14BO15 after structural relaxation (PBE-GGA).

Cell lengths 8.569, 8.880, 4.347 Å; angles 90.00, 90.00, 90.00 degrees
Sites, in units of the cell vectors:
1 O 0.499 0.000 0.500
2 O 0.500 0.500 0.500
3 O 0.987 0.500 0.500
4 O 0.496 0.233 0.000
5 O 0.229 0.500 0.000
6 O 0.496 0.767 0.000
7 O 0.743 0.745 0.500
8 O 0.743 0.255 0.500
9 O 0.986 0.724 0.000
10 O 0.247 0.245 0.500
11 O 0.981 0.000 0.500
12 O 0.986 0.276 0.000
13 O 0.712 0.500 0.000
14 O 0.247 0.755 0.500
15 O 0.739 0.000 0.000
16 Mg 0.751 0.000 0.500
17 Mg 0.997 0.500 0.000
18 Mg 0.990 0.254 0.500
19 Mg 0.265 0.716 0.000
20 Mg 0.265 0.284 0.000
21 Mg 0.509 0.000 0.000
22 Mg 0.750 0.230 0.000
23 Mg 0.250 0.500 0.500
24 Mg 0.744 0.500 0.500
25 Mg 0.990 0.746 0.500
26 Mg 0.267 0.000 0.500
27 Mg 0.502 0.746 0.500
28 Mg 0.750 0.770 0.000
29 Mg 0.502 0.254 0.500
30 B 0.555 0.500 0.000
31 Rb 0.073 0.000 0.000

Values from the calculation:
**E**: -172.7 eV/f.u.
**Energy of formation**: -2538.8 meV per atom
**Symmetry**: No. 25


[4]
Entry from the Materials Project database: RbMg14BO15 after structural relaxation (PBE-GGA).

Cell lengths 4.312, 8.143, 9.711 Å; angles 90.00, 90.00, 90.00 degrees
Sites, in units of the cell vectors:
1 O 0.000 0.330 0.960
2 O 0.000 0.000 0.310
3 O 0.500 0.254 0.744
4 O 0.500 0.758 0.235
5 O 0.500 0.500 0.527
6 O 0.500 0.242 0.235
7 O 0.000 0.745 0.513
8 O 0.500 0.000 0.512
9 O 0.000 0.255 0.513
10 O 0.500 0.500 0.981
11 O 0.000 0.500 0.280
12 O 0.500 0.000 0.947
13 O 0.000 0.000 0.727
14 O 0.500 0.746 0.744
15 O 0.000 0.670 0.960
16 Rb 0.000 0.000 0.050
17 Mg 0.500 0.256 0.974
18 Mg 0.000 0.752 0.748
19 Mg 0.500 0.255 0.530
20 Mg 0.500 0.745 0.530
21 Mg 0.500 0.500 0.205
22 Mg 0.500 0.744 0.974
23 Mg 0.000 0.500 0.494
24 Mg 0.000 0.000 0.518
25 Mg 0.000 0.746 0.288
26 Mg 0.500 0.000 0.747
27 Mg 0.000 0.254 0.288
28 Mg 0.000 0.248 0.748
29 Mg 0.500 0.500 0.753
30 Mg 0.500 0.000 0.298
31 B 0.000 0.500 0.916

Values from the calculation:
**E**: -175.3 eV/f.u.
**Energy of formation**: -2623.6 meV per atom
**Symmetry**: No. 25


[5]
Entry from the Materials Project database: RbMg6BO7 after structural relaxation (PBE-GGA).

Cell lengths 8.780, 4.567, 4.567 Å; angles 90.00, 90.00, 90.00 degrees
Sites, in units of the cell vectors:
1 Mg 0.753 0.000 0.500
2 Mg 0.489 0.500 0.500
3 Mg 0.241 0.000 0.500
4 Mg 0.504 0.000 0.000
5 Mg 0.753 0.500 0.000
6 Mg 0.241 0.500 0.000
7 Rb 0.007 0.000 0.000
8 O 0.989 0.500 0.000
9 O 0.800 0.500 0.500
10 O 0.510 0.500 0.000
11 O 0.989 0.000 0.500
12 O 0.510 0.000 0.500
13 O 0.724 0.000 0.000
14 O 0.284 0.000 0.000
15 B 0.958 0.500 0.500

Values from the calculation:
**E**: -75.1 eV/f.u.
**Energy of formation**: -1864.1 meV per atom
**Symmetry**: No. 99


[6]
Entry from the Materials Project database: RbMg6BO8 after structural relaxation (PBE-GGA).

Cell lengths 4.877, 4.877, 7.883 Å; angles 90.00, 90.00, 90.00 degrees
Sites, in units of the cell vectors:
1 Mg 0.500 0.000 0.257
2 Mg 0.500 0.500 0.500
3 Mg 0.500 0.000 0.743
4 Mg 0.000 0.500 0.743
5 Mg 0.500 0.500 0.000
6 Mg 0.000 0.500 0.257
7 O 0.500 0.500 0.250
8 O 0.000 0.000 0.668
9 O 0.000 0.500 0.500
10 O 0.000 0.500 0.000
11 O 0.500 0.500 0.750
12 O 0.500 0.000 0.500
13 O 0.500 0.000 0.000
14 O 0.000 0.000 0.332
15 B 0.000 0.000 0.500
16 Rb 0.000 0.000 0.000

Values from the calculation:
**E**: -90.0 eV/f.u.
**Energy of formation**: -2414.5 meV per atom
**Symmetry**: No. 123


[7]
Entry from the Materials Project database: RbMg30BO31 after structural relaxation (PBE-GGA).

Cell lengths 8.339, 8.719, 8.825 Å; angles 90.00, 90.00, 90.00 degrees
Sites, in units of the cell vectors:
1 O 0.500 0.999 0.276
2 O 0.250 0.753 0.249
3 O 0.500 0.506 0.749
4 O 0.000 0.257 0.500
5 O 0.500 0.506 0.251
6 O 0.000 0.283 0.000
7 O 0.000 0.502 0.744
8 O 0.000 0.502 0.256
9 O 0.750 0.247 0.243
10 O 0.500 0.275 0.000
11 O 0.000 0.000 0.277
12 O 0.250 0.753 0.751
13 O 0.749 0.002 0.500
14 O 0.500 0.745 0.500
15 O 0.251 0.002 0.500
16 O 0.251 0.500 0.500
17 O 0.250 0.247 0.243
18 O 0.659 0.977 0.000
19 O 0.000 0.000 0.723
20 O 0.500 0.999 0.724
21 O 0.000 0.728 0.000
22 O 0.250 0.247 0.757
23 O 0.256 0.509 0.000
24 O 0.750 0.247 0.757
25 O 0.749 0.500 0.500
26 O 0.341 0.977 0.000
27 O 0.750 0.753 0.249
28 O 0.750 0.753 0.751
29 O 0.500 0.256 0.500
30 O 0.744 0.509 0.000
31 O 0.000 0.744 0.500
32 Mg 0.743 0.000 0.735
33 Mg 0.000 0.003 0.500
34 Mg 0.257 0.000 0.265
35 Mg 0.251 0.252 0.500
36 Mg 0.000 0.749 0.255
37 Mg 0.749 0.503 0.252
38 Mg 0.500 0.754 0.736
39 Mg 0.743 0.000 0.265
40 Mg 0.251 0.744 0.000
41 Mg 0.251 0.503 0.748
42 Mg 0.749 0.252 0.500
43 Mg 0.500 0.243 0.760
44 Mg 0.749 0.744 0.000
45 Mg 0.000 0.749 0.745
46 Mg 0.500 0.497 0.500
47 Mg 0.258 0.269 0.000
48 Mg 0.257 0.000 0.735
49 Mg 0.749 0.503 0.748
50 Mg 0.742 0.269 0.000
51 Mg 0.000 0.500 0.500
52 Mg 0.248 0.749 0.500
53 Mg 0.000 0.255 0.747
54 Mg 0.251 0.503 0.252
55 Mg 0.500 0.754 0.264
56 Mg 0.500 0.501 0.000
57 Mg 0.000 0.255 0.253
58 Mg 0.500 0.243 0.240
59 Mg 0.500 0.006 0.500
60 Mg 0.752 0.749 0.500
61 Mg 0.000 0.505 0.000
62 Rb 0.000 0.006 0.000
63 B 0.500 0.919 0.000

Values from the calculation:
**E**: -367.3 eV/f.u.
**Energy of formation**: -2849.5 meV per atom
**Symmetry**: No. 25


[8]
Entry from the Materials Project database: RbMg6BO7 after structural relaxation (PBE-GGA).

Cell lengths 5.013, 5.013, 7.802 Å; angles 90.00, 90.00, 90.00 degrees
Sites, in units of the cell vectors:
1 Mg 0.500 0.000 0.743
2 Mg 0.500 0.500 0.004
3 Mg 0.500 0.000 0.255
4 Mg 0.500 0.500 0.496
5 Mg 0.000 0.500 0.255
6 Mg 0.000 0.500 0.743
7 O 0.500 0.000 0.999
8 O 0.000 0.000 0.669
9 O 0.000 0.500 0.499
10 O 0.000 0.500 0.999
11 O 0.500 0.000 0.499
12 O 0.500 0.500 0.751
13 O 0.000 0.000 0.333
14 Rb 0.000 0.000 0.001
15 B 0.000 0.000 0.501

Values from the calculation:
**E**: -79.2 eV/f.u.
**Energy of formation**: -2140.5 meV per atom
**Symmetry**: No. 99


[9]
Entry from the Materials Project database: RbMg14BO15 after structural relaxation (PBE-GGA).

Cell lengths 4.159, 8.468, 10.219 Å; angles 90.00, 90.00, 90.00 degrees
Sites, in units of the cell vectors:
1 O 0.500 0.000 0.514
2 O 0.500 0.246 0.290
3 O 0.000 0.756 0.510
4 O 0.000 0.708 0.923
5 O 0.500 0.000 0.921
6 O 0.000 0.000 0.712
7 O 0.500 0.730 0.721
8 O 0.500 0.500 0.488
9 O 0.000 0.292 0.923
10 O 0.500 0.270 0.721
11 O 0.000 0.000 0.310
12 O 0.000 0.500 0.346
13 O 0.000 0.244 0.510
14 O 0.500 0.754 0.290
15 O 0.500 0.500 0.061
16 Mg 0.000 0.756 0.314
17 Mg 0.500 0.746 0.507
18 Mg 0.000 0.500 0.005
19 Mg 0.500 0.254 0.507
20 Mg 0.500 0.500 0.274
21 Mg 0.000 0.000 0.516
22 Mg 0.500 0.500 0.679
23 Mg 0.000 0.244 0.314
24 Mg 0.500 0.751 0.931
25 Mg 0.000 0.759 0.725
26 Mg 0.500 0.000 0.313
27 Mg 0.500 0.000 0.728
28 Mg 0.500 0.249 0.931
29 Mg 0.000 0.241 0.725
30 Rb 0.000 0.000 0.051
31 B 0.000 0.500 0.490

Values from the calculation:
**E**: -173.2 eV/f.u.
**Energy of formation**: -2555.9 meV per atom
**Symmetry**: No. 25


[10]
Entry from the Materials Project database: RbMg6BO8 after structural relaxation (PBE-GGA).

Cell lengths 4.622, 4.622, 8.618 Å; angles 90.00, 90.00, 90.00 degrees
Sites, in units of the cell vectors:
1 Mg 0.500 0.000 0.233
2 Mg 0.500 0.500 0.500
3 Mg 0.000 0.000 0.500
4 Mg 0.500 0.000 0.767
5 Mg 0.000 0.500 0.767
6 Mg 0.000 0.500 0.233
7 O 0.000 0.500 0.000
8 O 0.500 0.500 0.165
9 O 0.500 0.000 0.500
10 O 0.000 0.500 0.500
11 O 0.000 0.000 0.719
12 O 0.000 0.000 0.281
13 O 0.500 0.000 0.000
14 O 0.500 0.500 0.835
15 B 0.500 0.500 0.000
16 Rb 0.000 0.000 0.000

Values from the calculation:
**E**: -85.5 eV/f.u.
**Energy of formation**: -2136.1 meV per atom
**Symmetry**: No. 123


[11]
Entry from the Materials Project database: Mg14SiBO16 after structural relaxation (PBE-GGA).

Cell lengths 8.571, 8.571, 4.252 Å; angles 90.00, 90.00, 90.00 degrees
Sites, in units of the cell vectors:
1 O 0.234 0.500 0.000
2 O 0.250 0.750 0.500
3 O 0.500 0.500 0.500
4 O 0.000 0.239 0.000
5 O 0.000 0.000 0.500
6 O 0.750 0.750 0.500
7 O 0.750 0.250 0.500
8 O 0.766 0.500 0.000
9 O 0.000 0.500 0.500
10 O 0.239 0.000 0.000
11 O 0.500 0.766 0.000
12 O 0.250 0.250 0.500
13 O 0.761 0.000 0.000
14 O 0.500 0.234 0.000
15 O 0.000 0.761 0.000
16 O 0.500 0.000 0.500
17 Mg 0.254 0.000 0.500
18 Mg 0.000 0.254 0.500
19 Mg 0.257 0.257 0.000
20 Mg 0.257 0.743 0.000
21 Mg 0.500 0.000 0.000
22 Mg 0.500 0.255 0.500
23 Mg 0.000 0.746 0.500
24 Mg 0.255 0.500 0.500
25 Mg 0.500 0.745 0.500
26 Mg 0.746 0.000 0.500
27 Mg 0.743 0.257 0.000
28 Mg 0.743 0.743 0.000
29 Mg 0.745 0.500 0.500
30 Mg 0.000 0.500 0.000
31 B 0.500 0.500 0.000
32 Si 0.000 0.000 0.000

Values from the calculation:
**E**: -188.2 eV/f.u.
**Energy of formation**: -2672.8 meV per atom
**Symmetry**: No. 123


[12]
Entry from the Materials Project database: Mg14SiBO16 after structural relaxation (PBE-GGA).

Cell lengths 8.481, 8.706, 4.218 Å; angles 90.00, 90.00, 90.00 degrees
Sites, in units of the cell vectors:
1 Mg 0.500 0.500 0.000
2 Mg 0.000 0.737 0.500
3 Mg 0.755 0.261 0.000
4 Mg 0.248 0.000 0.500
5 Mg 0.500 0.747 0.500
6 Mg 0.752 0.000 0.500
7 Mg 0.500 0.253 0.500
8 Mg 0.245 0.739 0.000
9 Mg 0.500 0.000 0.000
10 Mg 0.000 0.263 0.500
11 Mg 0.755 0.739 0.000
12 Mg 0.245 0.261 0.000
13 Mg 0.755 0.500 0.500
14 Mg 0.245 0.500 0.500
15 O 0.000 0.807 0.000
16 O 0.247 0.249 0.500
17 O 0.753 0.249 0.500
18 O 0.000 0.000 0.500
19 O 0.753 0.751 0.500
20 O 0.731 0.500 0.000
21 O 0.000 0.193 0.000
22 O 0.269 0.500 0.000
23 O 0.500 0.500 0.500
24 O 0.500 0.000 0.500
25 O 0.247 0.751 0.500
26 O 0.227 0.000 0.000
27 O 0.773 0.000 0.000
28 O 0.500 0.760 0.000
29 O 0.500 0.240 0.000
30 O 0.000 0.500 0.500
31 Si 0.000 0.000 0.000
32 B 0.000 0.500 0.000

Values from the calculation:
**E**: -189.4 eV/f.u.
**Energy of formation**: -2711.0 meV per atom
**Symmetry**: No. 47


Q: What is the E in the first record?
A: -79.1 eV/f.u.